VASP calculation (PBE) on Ca3Al7Ag2 after structural relaxation.

Lattice parameters (Å, degrees): 9.534 9.534 9.534 34.39 34.39 34.39
Positions (direct):
Ca1 0.000 0.000 0.000
Ca2 0.143 0.143 0.143
Ca3 0.857 0.857 0.857
Al1 0.076 0.586 0.586
Al2 0.414 0.414 0.924
Al3 0.414 0.924 0.414
Al4 0.500 0.500 0.500
Al5 0.586 0.076 0.586
Al6 0.586 0.586 0.076
Al7 0.924 0.414 0.414
Ag1 0.336 0.336 0.336
Ag2 0.664 0.664 0.664

Properties
Energy relative to the elements = -0.319 eV/atom
SG = No. 166
Volume = 20.55 A^3/atom
Theoretical density = 3.5 Mg/m³